1.
Computed, not measured: a relaxed Li4Ti2Ni3Sn3O16 crystal at the PBE with a Hubbard U level of DFT.

## Properties
E (MP2020) = -6.881 eV/atom
calculated formation energy = -209.2 kJ per mole of atoms

Cell lengths 10.370, 6.100, 9.632 Å; angles 90.00, 92.13, 90.00 degrees
Space group Cm (No. 8)
One atom of each set of equivalent atoms:
Li 0.000 0.000 0.000 [2 per cell]
Li 0.008 0.000 0.489 [2 per cell]
Li 0.198 0.500 0.099 [2 per cell]
Li 0.354 0.000 0.587 [2 per cell]
Ti 0.197 0.500 0.495 [2 per cell]
Ti 0.379 0.000 0.003 [2 per cell]
Ni 0.350 0.500 0.773 [2 per cell]
Ni 0.438 0.242 0.275 [4 per cell]
Sn 0.106 0.253 0.776 [4 per cell]
Sn 0.190 0.000 0.275 [2 per cell]
O 0.006 0.000 0.187 [2 per cell]
O 0.008 0.500 0.140 [2 per cell]
O 0.014 0.000 0.676 [2 per cell]
O 0.033 0.500 0.647 [2 per cell]
O 0.097 0.247 0.392 [4 per cell]
O 0.184 0.000 0.903 [2 per cell]
O 0.194 0.500 0.891 [2 per cell]
O 0.256 0.277 0.636 [4 per cell]
O 0.289 0.222 0.150 [4 per cell]
O 0.340 0.500 0.398 [2 per cell]
O 0.369 0.000 0.378 [2 per cell]
O 0.438 0.241 0.898 [4 per cell]

***

2.
Computed, not measured: a relaxed Li4V3Ni3Sn2O16 crystal at the PBE with a Hubbard U level of DFT.

## Properties
excess energy over the best structure of this formula in the dataset = 0.015 eV per atom
E (MP2020) = -7.022 eV/atom
calculated formation energy = -197.1 kJ per mole of atoms

Cell lengths 5.867, 5.923, 9.790 Å; angles 90.83, 90.02, 119.67 degrees
Space group P1 (No. 1)
One atom of each set of equivalent atoms:
Li 0.000 0.000 0.000 [1 per cell]
Li 0.004 0.003 0.504 [1 per cell]
Li 0.333 0.660 0.410 [1 per cell]
Li 0.662 0.317 0.899 [1 per cell]
V 0.175 0.344 0.728 [1 per cell]
V 0.350 0.179 0.223 [1 per cell]
V 0.819 0.171 0.228 [1 per cell]
Ni 0.169 0.822 0.723 [1 per cell]
Ni 0.658 0.821 0.724 [1 per cell]
Ni 0.833 0.657 0.222 [1 per cell]
Sn 0.339 0.671 0.000 [1 per cell]
Sn 0.674 0.342 0.509 [1 per cell]
O 0.008 0.012 0.810 [1 per cell]
O 0.009 0.019 0.313 [1 per cell]
O 0.030 0.495 0.851 [1 per cell]
O 0.167 0.327 0.117 [1 per cell]
O 0.175 0.854 0.114 [1 per cell]
O 0.320 0.634 0.615 [1 per cell]
O 0.328 0.175 0.614 [1 per cell]
O 0.470 0.493 0.851 [1 per cell]
O 0.480 0.951 0.844 [1 per cell]
O 0.506 0.463 0.344 [1 per cell]
O 0.519 0.029 0.349 [1 per cell]
O 0.661 0.309 0.109 [1 per cell]
O 0.685 0.850 0.113 [1 per cell]
O 0.847 0.692 0.608 [1 per cell]
O 0.853 0.176 0.615 [1 per cell]
O 0.964 0.467 0.346 [1 per cell]

***

3.
Computed, not measured: a relaxed Li4V3Ni2Sn3O16 crystal at the PBE with a Hubbard U level of DFT.

## Properties
excess energy over the best structure of this formula in the dataset = 0.000 eV per atom
E (MP2020) = -7.034 eV/atom
calculated formation energy = -204.4 kJ per mole of atoms

Cell lengths 6.089, 6.096, 9.786 Å; angles 89.51, 89.84, 60.21 degrees
Space group P1 (No. 1)
One atom of each set of equivalent atoms:
Li 0.000 0.000 0.000 [1 per cell]
Li 0.003 0.991 0.494 [1 per cell]
Li 0.350 0.300 0.601 [1 per cell]
Li 0.685 0.625 0.108 [1 per cell]
V 0.196 0.130 0.276 [1 per cell]
V 0.676 0.147 0.284 [1 per cell]
V 0.844 0.310 0.779 [1 per cell]
Ni 0.336 0.309 0.007 [1 per cell]
Ni 0.672 0.638 0.504 [1 per cell]
Sn 0.177 0.631 0.282 [1 per cell]
Sn 0.349 0.803 0.780 [1 per cell]
Sn 0.841 0.804 0.781 [1 per cell]
O 0.005 0.984 0.676 [1 per cell]
O 0.007 0.982 0.182 [1 per cell]
O 0.048 0.447 0.160 [1 per cell]
O 0.162 0.663 0.902 [1 per cell]
O 0.163 0.143 0.889 [1 per cell]
O 0.325 0.819 0.392 [1 per cell]
O 0.349 0.291 0.393 [1 per cell]
O 0.478 0.008 0.167 [1 per cell]
O 0.512 0.426 0.162 [1 per cell]
O 0.533 0.483 0.659 [1 per cell]
O 0.534 0.937 0.654 [1 per cell]
O 0.682 0.627 0.897 [1 per cell]
O 0.692 0.154 0.888 [1 per cell]
O 0.831 0.837 0.390 [1 per cell]
O 0.857 0.290 0.382 [1 per cell]
O 0.974 0.472 0.663 [1 per cell]

***

4.
Computed, not measured: a relaxed Li4V3Ni3Sn2O16 crystal at the PBE with a Hubbard U level of DFT.

## Properties
excess energy over the best structure of this formula in the dataset = 0.000 eV per atom
E (MP2020) = -7.036 eV/atom
calculated formation energy = -198.5 kJ per mole of atoms

Cell lengths 5.947, 5.967, 9.732 Å; angles 89.20, 89.91, 60.22 degrees
Space group P1 (No. 1)
One atom of each set of equivalent atoms:
Li 0.000 0.000 0.000 [1 per cell]
Li 0.002 0.000 0.509 [1 per cell]
Li 0.341 0.315 0.610 [1 per cell]
Li 0.671 0.653 0.095 [1 per cell]
V 0.179 0.169 0.279 [1 per cell]
V 0.666 0.173 0.284 [1 per cell]
V 0.829 0.341 0.778 [1 per cell]
Ni 0.169 0.661 0.285 [1 per cell]
Ni 0.342 0.826 0.785 [1 per cell]
Ni 0.831 0.826 0.785 [1 per cell]
Sn 0.328 0.343 0.995 [1 per cell]
Sn 0.661 0.678 0.511 [1 per cell]
O 0.000 0.019 0.191 [1 per cell]
O 0.039 0.460 0.163 [1 per cell]
O 0.152 0.173 0.895 [1 per cell]
O 0.155 0.688 0.906 [1 per cell]
O 0.319 0.853 0.392 [1 per cell]
O 0.330 0.305 0.393 [1 per cell]
O 0.471 0.030 0.162 [1 per cell]
O 0.498 0.455 0.164 [1 per cell]
O 0.520 0.959 0.655 [1 per cell]
O 0.536 0.491 0.655 [1 per cell]
O 0.674 0.172 0.896 [1 per cell]
O 0.690 0.618 0.894 [1 per cell]
O 0.823 0.858 0.392 [1 per cell]
O 0.840 0.329 0.389 [1 per cell]
O 0.971 0.493 0.656 [1 per cell]
O 0.987 0.025 0.695 [1 per cell]

***

Record-wise size of the total moment values, in μB per atom: 0.143; 0.250; 0.250; 0.250